5
Lattice="-5.457 -3.335 4.298 -2.229 0.345 7.367 2.019 3.638 -6.485" Properties=species:S:1:pos:R:3 comment="CsLiZnS2, relaxed, DFT PBE" formation_energy_ev_per_atom=-1.3304 density_g_cm3=3.75 vol_a3_per_atom=23.8 e_ij_max_c_m2=0.16 space_group="I-4m2 (119)" pbc="T T T"
Li -2.026 1.244 3.357
S -2.627 -1.022 3.987
S -5.059 -1.968 7.678
Zn -3.640 -0.596 1.823
Cs 0.000 0.000 0.000

=====

24
Lattice="-1.144 1.127 -4.246 2.861 -8.562 -3.043 -7.680 -2.642 1.368" Properties=species:S:1:pos:R:3 comment="CsLuS2O8, relaxed, DFT PBE" formation_energy_ev_per_atom=-2.5150 density_g_cm3=4.67 vol_a3_per_atom=14.8 space_group="P2/c (13)" pbc="T T T"
O 0.523 -2.994 -1.234
O -0.185 -0.665 -1.204
O -1.786 -0.979 -3.536
O -4.177 -9.097 -2.386
O -7.187 -2.960 -2.616
O -1.302 -8.717 -3.041
O -0.964 -7.158 -5.398
O -4.661 -1.360 -2.881
O -2.716 -2.261 -0.957
O 1.224 -7.116 -3.307
O -5.778 -9.411 -4.718
O -6.486 -7.082 -4.688
O -4.999 -2.918 -0.524
O -1.642 -6.750 -1.648
O -3.247 -7.816 -4.966
O -4.321 -3.327 -4.274
Cs -4.818 -5.781 -2.307
Cs -1.145 -4.295 -3.615
Lu -6.381 -1.370 -1.278
Lu -2.443 -0.145 -1.601
S -3.586 -3.050 -0.031
S -5.162 -9.388 -1.289
S -0.801 -0.688 -4.633
S -2.377 -7.027 -5.892

=====

8
Lattice="2.015 -3.490 0.000 2.015 3.490 0.000 0.000 0.000 16.058" Properties=species:S:1:pos:R:3 comment="CsLuS2, relaxed, DFT PBE" relative_energy_ev_per_atom=0.000 formation_energy_ev_per_atom=-2.0539 density_g_cm3=5.47 vol_a3_per_atom=28.2 space_group="P6_3/mmc (194)" pbc="T T T"
Cs 2.015 -1.163 12.043
Cs 2.015 1.163 4.014
S 2.015 1.163 14.626
S 2.015 -1.163 1.432
S 2.015 1.163 9.461
S 2.015 -1.163 6.597
Lu 0.000 0.000 8.029
Lu 0.000 0.000 0.000

=====

4
Lattice="8.102 -2.014 0.000 8.102 2.014 0.000 7.601 0.000 3.453" Properties=species:S:1:pos:R:3 comment="CsLuS2, relaxed, DFT PBE" relative_energy_ev_per_atom=0.002 formation_energy_ev_per_atom=-2.0519 density_g_cm3=5.48 vol_a3_per_atom=28.2 space_group="R-3m (166)" pbc="T T T"
Cs 0.000 0.000 0.000
S 5.390 0.000 0.782
S 18.416 0.000 2.671
Lu 11.903 0.000 1.727

=====

76
Lattice="0.781 -5.285 -8.671 -1.684 -7.887 6.220 -18.572 1.788 -2.761" Properties=species:S:1:pos:R:3 comment="CsLu7S11, relaxed, DFT PBE" formation_energy_ev_per_atom=-2.3292 density_g_cm3=5.86 vol_a3_per_atom=25.5 space_group="Cmce (64)" pbc="T T T"
S -13.551 -1.482 -6.440
S -1.846 -8.384 -3.796
S -8.205 -1.873 0.340
S -11.271 -9.512 -5.552
S -11.904 -10.181 -1.723
S -1.271 -4.635 -5.061
S -5.515 -6.499 -0.005
S -16.948 0.656 -2.690
S -4.086 -5.217 -7.422
S -1.362 -1.634 -2.506
S -8.041 -7.620 -4.658
S -17.489 -9.092 -6.478
S -7.980 -4.886 -2.174
S -18.204 -6.750 -0.151
S -2.535 -5.970 2.579
S -14.070 -1.783 -2.640
S -10.745 -6.048 -6.671
S -5.406 -9.601 -2.572
S -4.692 -8.601 -6.218
S -7.571 -1.204 -3.489
S -17.629 -3.000 -1.416
S -10.810 -3.105 -4.327
S -14.668 -8.355 -3.887
S -18.114 -9.751 -2.706
S -5.924 -9.902 1.228
S -11.434 -3.764 -0.554
S -15.390 -6.167 2.210
S -4.808 -3.029 -1.325
S -7.530 -4.069 -5.793
S -1.986 -2.293 1.266
S -13.564 -4.240 -8.820
S -5.911 -7.144 3.608
S -11.495 -6.498 -3.038
S -14.783 -2.783 1.006
S -16.940 -5.415 -7.791
S -8.730 -5.336 1.458
S -2.480 -9.053 0.033
S -2.528 -12.041 -2.522
S -8.666 -8.279 -0.885
S -14.599 -5.560 -1.345
S -11.945 -7.315 0.581
S -16.996 -2.331 -5.245
S -13.960 -4.885 -5.207
S -4.876 -5.824 -3.867
Lu -6.674 -4.036 0.194
Lu -4.075 -7.982 1.765
Lu -4.279 -10.895 -0.608
Lu -8.896 -1.749 -5.716
Lu -16.600 -4.669 0.271
Lu -3.652 -10.234 -4.396
Lu -15.823 -1.151 -0.816
Lu -10.128 -3.050 1.729
Lu -13.429 -8.011 -1.619
Lu 0.477 -5.606 -6.837
Lu -16.124 -10.426 -4.490
Lu 0.390 -2.643 -4.336
Lu -12.914 -4.105 -2.854
Lu -9.434 -5.372 -4.440
Lu -0.842 -3.943 3.110
Lu -3.351 -0.959 -0.722
Lu -1.380 -7.566 4.386
Lu -6.561 -7.279 -2.358
Lu -7.491 -7.691 1.459
Lu -13.250 -5.029 0.971
Lu -11.985 -3.694 -6.672
Lu -6.047 -3.374 -3.593
Lu -10.041 -6.013 -0.772
Lu -6.226 -6.355 -6.183
Lu -15.196 -0.489 -4.604
Lu -12.802 -7.349 -5.406
Lu -15.401 -3.403 -6.977
Lu -2.875 -6.716 -5.483
Cs -8.414 -11.259 -3.360
Cs -11.061 -0.125 -1.853
Cs -17.410 -6.144 -3.955
Cs -2.065 -5.241 -1.257

=====

16
Lattice="3.317 -5.746 0.000 3.317 5.746 0.000 0.000 0.000 10.777" Properties=species:S:1:pos:R:3 comment="CsMg15, relaxed, DFT PBE" formation_energy_ev_per_atom=0.1769 density_g_cm3=2.01 vol_a3_per_atom=25.7 space_group="P-6m2 (187)" pbc="T T T"
Mg 3.317 0.065 7.898
Mg 3.317 3.850 5.388
Mg 3.317 -1.915 5.388
Mg 3.317 0.065 2.879
Mg 4.946 0.975 0.000
Mg 1.689 0.975 0.000
Mg 3.317 3.795 0.000
Mg 4.920 2.840 7.898
Mg 0.000 0.000 2.664
Mg 1.715 2.840 7.898
Mg 1.642 0.948 5.388
Mg 0.000 0.000 8.113
Mg 4.993 0.948 5.388
Mg 1.715 2.840 2.879
Mg 4.920 2.840 2.879
Cs 3.317 -1.915 0.000

=====

8
Lattice="-2.724 3.698 -5.303 -2.225 1.113 6.560 3.854 3.790 0.664" Properties=species:S:1:pos:R:3 comment="CsMg7, relaxed, DFT PBE" formation_energy_ev_per_atom=0.2955 density_g_cm3=2.17 vol_a3_per_atom=29.0 space_group="P-6m2 (187)" pbc="T T T"
Mg -0.390 3.484 4.709
Mg -2.472 2.396 0.672
Mg -3.560 2.941 3.880
Mg -0.631 4.732 -1.017
Mg -1.610 5.141 2.333
Mg -1.140 0.588 3.265
Mg 0.607 2.985 1.770
Cs 0.000 0.000 0.000

=====

16
Lattice="-5.133 -0.661 -3.790 1.748 -4.787 3.896 -6.243 4.029 7.752" Properties=species:S:1:pos:R:3 comment="CsMg14Mn, relaxed, DFT PBE" formation_energy_ev_per_atom=0.3227 density_g_cm3=2.29 vol_a3_per_atom=23.9 space_group="P-6m2 (187)" pbc="T T T"
Mg -3.629 -1.590 -0.237
Mg -6.127 -0.003 0.105
Mg -3.330 -1.602 7.447
Mg -0.132 -3.562 3.604
Mg -2.784 -3.903 1.646
Mg -5.521 -2.187 2.429
Mg -9.702 2.304 4.543
Mg -5.844 -1.925 5.590
Mg -6.736 0.517 3.603
Mg -8.507 -0.260 6.138
Mg -2.655 -2.015 3.947
Mg -3.513 0.334 2.036
Mg -7.087 2.641 6.474
Mg -6.230 0.292 8.385
Cs -4.175 0.812 5.512
Mn -1.053 -1.202 1.636

=====

8
Lattice="5.134 -5.153 0.000 5.134 5.153 0.000 0.000 0.000 3.917" Properties=species:S:1:pos:R:3 comment="CsMg6Mo, relaxed, DFT PBE" relative_energy_ev_per_atom=0.000 formation_energy_ev_per_atom=0.4391 density_g_cm3=3.00 vol_a3_per_atom=25.9 space_group="Amm2 (38)" pbc="T T T"
Mg 2.527 -1.316 1.958
Mg 7.180 1.272 0.000
Mg 7.742 -1.316 1.958
Mg 5.134 -0.738 0.000
Mg 3.088 1.272 0.000
Mg 5.134 3.344 0.000
Cs 5.134 -3.839 1.958
Mo 5.134 1.319 1.958

=====

8
Lattice="-6.185 2.190 -0.121 1.606 -4.294 4.695 1.355 4.003 3.198" Properties=species:S:1:pos:R:3 comment="CsMg6Mo, relaxed, DFT PBE" relative_energy_ev_per_atom=0.157 formation_energy_ev_per_atom=0.5958 density_g_cm3=3.07 vol_a3_per_atom=25.3 space_group="Amm2 (38)" pbc="T T T"
Mg -3.510 -0.036 1.533
Mg -1.039 2.185 2.097
Mg -0.363 -0.992 1.396
Mg -4.136 3.051 2.326
Mg -2.939 -2.175 3.969
Mg -3.689 0.967 4.745
Mo 0.577 -3.438 4.060
Cs -0.506 0.029 4.570

=====

12
Lattice="10.847 0.000 0.000 0.000 3.939 0.000 0.000 0.000 7.474" Properties=species:S:1:pos:R:3 comment="CsMgN, relaxed, DFT PBE" formation_energy_ev_per_atom=-0.1876 density_g_cm3=3.56 vol_a3_per_atom=26.6 space_group="Pnma (62)" pbc="T T T"
Mg 5.225 2.954 2.913
Mg 0.199 0.985 6.650
Mg 10.648 2.954 0.824
Mg 5.622 0.985 4.561
N 0.346 2.954 6.183
N 5.769 2.954 5.029
N 10.501 0.985 1.292
N 5.078 0.985 2.445
Cs 3.573 2.954 7.291
Cs 7.274 0.985 0.184
Cs 1.850 0.985 3.553
Cs 8.997 2.954 3.921

=====

8
Lattice="3.400 -6.098 0.000 3.400 6.098 0.000 0.000 0.000 5.798" Properties=species:S:1:pos:R:3 comment="CsNaMg6, relaxed, DFT PBE" relative_energy_ev_per_atom=0.025 formation_energy_ev_per_atom=0.3064 density_g_cm3=2.08 vol_a3_per_atom=30.1 space_group="Amm2 (38)" pbc="T T T"
Mg 3.400 4.172 0.000
Mg 1.678 -1.002 2.899
Mg 1.635 0.931 0.000
Mg 5.121 -1.002 2.899
Mg 3.400 -2.006 0.000
Mg 5.165 0.931 0.000
Na 3.400 -4.063 2.899
Cs 3.400 2.038 2.899

=====

16
Lattice="-3.613 2.018 -3.493 0.109 -6.369 -3.793 -8.951 -4.216 6.822" Properties=species:S:1:pos:R:3 comment="CsNaMg6, relaxed, DFT PBE" relative_energy_ev_per_atom=0.000 formation_energy_ev_per_atom=0.2809 density_g_cm3=2.08 vol_a3_per_atom=30.2 pbc="T T T"
Mg -5.032 -6.935 1.199
Mg -0.548 -5.325 -2.509
Mg -5.567 -2.271 0.248
Mg -7.397 -6.695 3.783
Mg -7.672 -4.964 0.869
Mg -3.251 0.328 -0.645
Mg -2.977 -1.402 2.269
Mg -9.988 -7.564 1.763
Mg -5.509 -5.647 -1.762
Mg -5.078 -4.248 2.798
Mg -10.039 -4.571 3.545
Mg -0.611 -1.642 -0.316
Cs -3.308 -2.909 -2.457
Cs -7.838 -1.832 2.851
Na -3.027 -4.636 0.453
Na -7.558 -3.560 5.760

=====

16
Lattice="-2.788 4.828 -3.702 -0.169 -6.350 -2.106 -9.406 -1.465 5.174" Properties=species:S:1:pos:R:3 comment="CsNaMg14, relaxed, DFT PBE" relative_energy_ev_per_atom=0.032 formation_energy_ev_per_atom=0.2016 density_g_cm3=1.96 vol_a3_per_atom=26.3 space_group="P-6m2 (187)" pbc="T T T"
Mg -10.633 -1.486 0.020
Mg -7.789 0.201 0.078
Mg -4.459 -3.223 -0.845
Mg -9.440 -3.998 1.895
Mg -4.370 0.124 0.265
Mg -5.689 2.408 -1.486
Mg -7.874 -3.008 -0.986
Mg -3.086 0.932 -2.510
Mg -9.350 -0.651 3.004
Mg -6.495 -5.397 0.845
Mg -5.998 -0.764 -2.530
Mg -10.669 1.632 1.253
Mg -1.791 -4.665 -1.740
Mg -3.171 -2.274 -3.573
Na -1.697 -1.495 -0.672
Cs -6.400 -2.227 1.915

=====

16
Lattice="-4.493 3.282 -3.654 -1.843 -2.679 5.603 2.505 9.293 5.268" Properties=species:S:1:pos:R:3 comment="CsNaMg14, relaxed, DFT PBE" relative_energy_ev_per_atom=0.000 formation_energy_ev_per_atom=0.1701 density_g_cm3=1.99 vol_a3_per_atom=25.8 space_group="Amm2 (38)" pbc="T T T"
Mg -2.974 5.764 5.529
Mg -0.633 7.256 6.964
Mg -3.924 4.567 2.766
Mg -3.091 5.784 -0.123
Mg 0.226 5.453 4.555
Mg -0.700 4.116 7.356
Mg -2.757 8.899 5.222
Mg -4.214 1.120 2.885
Mg -0.868 4.352 1.838
Mg 0.268 8.565 4.226
Mg -3.298 2.453 0.098
Mg -1.768 3.043 4.576
Mg -2.050 7.108 2.719
Mg -1.847 10.398 2.492
Cs -1.959 -0.529 4.721
Na -1.060 0.819 1.916

=====

31
Lattice="-1.559 -8.168 -1.956 4.162 -2.577 7.442 -3.819 0.201 2.205" Properties=species:S:1:pos:R:3 comment="CsNaMg14O15, relaxed, DFT PBE" relative_energy_ev_per_atom=0.042 formation_energy_ev_per_atom=-2.6162 density_g_cm3=3.64 vol_a3_per_atom=10.8 space_group="Pmm2 (25)" pbc="T T T"
Na -1.540 -8.068 -1.932
Mg -0.780 -4.086 -0.979
Mg -1.012 -7.387 3.339
Mg -0.130 -6.833 0.397
Mg -1.649 -4.606 1.981
Mg 1.268 -5.545 2.702
Mg 0.441 -5.900 5.718
Mg -2.464 -8.609 0.935
Mg -2.288 -1.881 0.628
Mg -0.239 -3.341 4.308
Mg -3.076 -6.011 -0.361
Mg -0.283 -9.959 4.834
Mg -3.299 -2.331 3.335
Mg 2.888 -3.998 5.365
Mg 1.932 -8.109 4.084
O 0.354 -4.619 1.033
O 2.306 -5.827 4.524
O -1.373 -9.280 2.886
O 1.610 -10.102 3.708
O -1.911 0.092 1.100
O 0.920 -7.372 2.264
O -2.675 -3.910 0.142
O -2.030 -6.606 1.504
O 0.797 -3.823 6.146
O -1.221 -2.574 2.538
O -0.415 -2.173 -0.520
O 0.058 -7.899 5.238
O -1.133 -5.938 -1.422
O -0.596 -5.207 3.861
O -0.557 -8.761 -0.167
Cs 1.919 -2.137 3.518